[1]
A plane-wave DFT calculation with PBE was carried out for an optimized crystal structure of BaTh3.

Geometry as POSCAR:
```
BaTh3
1.0
-2.604 2.604 5.199
2.604 -2.604 5.199
2.604 2.604 -5.199
Ba Th
1 3
Cartesian
0.000 0.000 0.000
2.604 0.000 2.600
0.000 0.000 5.199
0.000 2.604 2.600
```

Results
Calculated total energy (eV per atom): -5.666
E_form (meV/atom): 374
Symmetry: I4/mmm, No. 139

[2]
A plane-wave DFT calculation with PBE was carried out for an optimized crystal structure of K4P3.

Geometry as POSCAR:
```
K4P3
1.0
2.510 -5.718 0.000
2.510 5.718 0.000
0.000 0.000 15.052
K P
8 6
Cartesian
0.000 0.000 0.000
0.000 0.000 7.526
2.510 5.512 11.289
2.510 2.231 9.203
2.510 2.231 13.375
2.510 -2.231 1.677
2.510 -2.231 5.849
2.510 -5.512 3.763
2.510 2.427 3.763
2.510 1.299 1.882
2.510 1.299 5.644
2.510 -1.299 9.408
2.510 -1.299 13.170
2.510 -2.427 11.289
```

Results
Calculated total energy (eV per atom): -3.328
E_form (meV/atom): -374
Symmetry: Cmcm, No. 63